A plane-wave DFT calculation with PBE+U was carried out for LiVO2F after structural relaxation.

Its calculated formation energy is -2.704 eV/atom. Its symmetry is Pnma, No. 62. The total magnetic moment comes out at 0.200 μB per atom.

Cell: 13.899 3.507 4.935 Å, 90.00 90.00 90.00°
Element x y z (fractional)
Li 0.172 0.250 0.128
Li 0.328 0.750 0.628
Li 0.672 0.250 0.372
Li 0.828 0.750 0.872
V 0.083 0.750 0.594
V 0.417 0.250 0.094
V 0.583 0.750 0.906
V 0.917 0.250 0.406
O 0.061 0.250 0.431
O 0.112 0.750 0.922
O 0.388 0.250 0.422
O 0.439 0.750 0.931
O 0.561 0.250 0.069
O 0.612 0.750 0.578
O 0.888 0.250 0.078
O 0.939 0.750 0.569
F 0.209 0.750 0.414
F 0.291 0.250 0.914
F 0.709 0.750 0.086
F 0.791 0.250 0.586

A plane-wave DFT calculation with PBE+U was carried out for LiV2OF5 after structural relaxation.

Its calculated formation energy is -3.037 eV/atom. Its symmetry is P1, No. 1. As for the energy above the most stable polymorph in this dataset: 2.4 kJ/mol of atoms.

Cell: 5.224 5.524 17.325 Å, 84.57 82.76 62.09°
Element x y z (fractional)
Li 0.000 0.000 0.000
Li 0.119 0.128 0.607
Li 0.242 0.256 0.249
Li 0.771 0.743 0.744
V 0.152 0.937 0.815
V 0.227 0.103 0.431
V 0.393 0.195 0.065
V 0.515 0.312 0.685
V 0.633 0.455 0.317
V 0.737 0.589 0.931
V 0.863 0.738 0.562
V 0.976 0.845 0.183
O 0.005 0.252 0.347
O 0.530 0.741 0.843
O 0.764 0.995 0.097
O 0.799 0.019 0.628
F 0.021 0.873 0.472
F 0.050 0.271 0.868
F 0.185 0.631 0.752
F 0.203 0.065 0.162
F 0.237 0.652 0.271
F 0.270 0.496 0.600
F 0.284 0.092 0.712
F 0.287 0.529 0.119
F 0.419 0.890 0.001
F 0.440 0.315 0.407
F 0.447 0.934 0.532
F 0.536 0.787 0.371
F 0.575 0.334 0.969
F 0.659 0.148 0.252
F 0.734 0.133 0.779
F 0.739 0.541 0.660
F 0.813 0.593 0.221
F 0.949 0.388 0.514
F 0.972 0.802 0.914
F 0.994 0.391 0.020

A plane-wave DFT calculation with PBE+U was carried out for Li2VO2F after structural relaxation.

Its calculated formation energy is -2.651 eV/atom. The value obtained for the largest piezoelectric modulus is 0.29 C/m². The total magnetic moment comes out at 0.000 μB per atom. As for the energy above the most stable polymorph in this dataset: 5.9 kJ/mol of atoms.

Cell: 5.914 7.789 5.914 Å, 79.96 119.78 111.43°
Element x y z (fractional)
F 0.743 0.502 0.505
F 0.920 0.165 0.659
F 0.420 0.165 0.159
F 0.243 0.502 0.005
Li 0.000 0.006 0.004
Li 0.500 0.006 0.504
Li 0.667 0.660 0.163
Li 0.347 0.344 0.821
Li 0.316 0.323 0.342
Li 0.816 0.323 0.842
Li 0.847 0.344 0.321
Li 0.167 0.660 0.663
O 0.583 0.833 0.833
O 0.253 0.513 0.487
O 0.397 0.154 0.664
O 0.098 0.833 0.848
O 0.083 0.833 0.333
O 0.598 0.833 0.348
O 0.753 0.513 0.987
O 0.897 0.154 0.164
V 0.162 0.674 0.183
V 0.662 0.674 0.683
V 0.513 0.993 0.992
V 0.013 0.993 0.492